# 1
Computed, not measured: a geometry-optimized Cu3P4O14 structure at the PBE level of DFT.

Unit cell a=4.847 b=7.037 c=8.482 alpha=67.97 beta=75.66 gamma=72.09
Fractional positions:
1 Cu 0.036 0.169 0.559
2 Cu 0.964 0.831 0.441
3 Cu 0.000 0.000 0.000
4 O 0.783 0.843 0.959
5 O 0.303 0.521 0.733
6 O 0.692 0.669 0.519
7 O 0.174 0.713 0.266
8 O 0.321 0.945 0.815
9 O 0.704 0.598 0.835
10 O 0.817 0.948 0.629
11 O 0.296 0.402 0.165
12 O 0.308 0.331 0.481
13 O 0.697 0.479 0.267
14 O 0.679 0.055 0.185
15 O 0.826 0.287 0.734
16 O 0.217 0.157 0.041
17 O 0.183 0.052 0.371
18 P 0.377 0.487 0.297
19 P 0.650 0.842 0.816
20 P 0.350 0.158 0.184
21 P 0.623 0.513 0.703

Summary:
The calculation puts the MP2020-corrected energy at -6.89 eV/atom. The space group is P-1, No. 2. The value obtained for the formation energy is -1.975 eV/atom.

***

# 2
Computed, not measured: a geometry-optimized CuP3O9 structure at the PBE level of DFT.

Unit cell a=8.383 b=8.500 c=8.583 alpha=90.00 beta=90.00 gamma=90.00
Fractional positions:
1 O 0.953 0.279 0.847
2 O 0.660 0.648 0.607
3 O 0.396 0.602 0.828
4 O 0.598 0.623 0.079
5 O 0.354 0.534 0.242
6 O 0.636 0.314 0.370
7 O 0.453 0.221 0.153
8 O 0.146 0.466 0.742
9 O 0.896 0.898 0.172
10 O 0.646 0.034 0.258
11 O 0.680 0.416 0.852
12 O 0.411 0.376 0.625
13 O 0.364 0.814 0.130
14 O 0.340 0.148 0.893
15 O 0.320 0.916 0.648
16 O 0.098 0.877 0.921
17 O 0.104 0.398 0.328
18 O 0.180 0.084 0.148
19 O 0.713 0.138 0.947
20 O 0.047 0.779 0.653
21 O 0.864 0.686 0.870
22 O 0.902 0.377 0.579
23 O 0.854 0.966 0.758
24 O 0.787 0.862 0.447
25 O 0.287 0.638 0.553
26 O 0.604 0.102 0.672
27 O 0.820 0.584 0.352
28 O 0.589 0.876 0.875
29 O 0.840 0.352 0.107
30 O 0.213 0.362 0.053
31 O 0.911 0.124 0.375
32 O 0.402 0.123 0.421
33 O 0.089 0.624 0.125
34 O 0.160 0.852 0.393
35 O 0.136 0.186 0.630
36 O 0.547 0.721 0.347
37 Cu 0.869 0.355 0.350
38 Cu 0.369 0.145 0.650
39 Cu 0.631 0.645 0.850
40 Cu 0.131 0.855 0.150
41 P 0.035 0.322 0.685
42 P 0.709 0.688 0.445
43 P 0.176 0.485 0.192
44 P 0.965 0.822 0.815
45 P 0.791 0.312 0.945
46 P 0.824 0.985 0.308
47 P 0.676 0.015 0.808
48 P 0.465 0.678 0.185
49 P 0.209 0.812 0.555
50 P 0.291 0.188 0.055
51 P 0.324 0.515 0.692
52 P 0.535 0.178 0.315

Summary:
The calculation puts the MP2020-corrected energy at -7.18 eV/atom. The space group is P2_12_12_1, No. 19. The value obtained for the formation energy is -2.187 eV/atom.

***

# 3
Computed, not measured: a geometry-optimized Cu5P2O12 structure at the PBE level of DFT.

Unit cell a=5.603 b=4.618 c=16.567 alpha=88.40 beta=90.00 gamma=90.00
Fractional positions:
1 O 0.679 0.849 0.986
2 O 0.812 0.661 0.649
3 O 0.930 0.884 0.319
4 O 0.179 0.151 0.514
5 O 0.636 0.336 0.371
6 O 0.927 0.260 0.209
7 O 0.645 0.296 0.557
8 O 0.355 0.704 0.443
9 O 0.821 0.849 0.486
10 O 0.188 0.339 0.351
11 O 0.427 0.740 0.291
12 O 0.364 0.664 0.629
13 O 0.312 0.339 0.851
14 O 0.864 0.336 0.871
15 O 0.073 0.740 0.791
16 O 0.321 0.151 0.014
17 O 0.430 0.116 0.181
18 O 0.136 0.664 0.129
19 O 0.070 0.116 0.681
20 O 0.570 0.884 0.819
21 O 0.573 0.260 0.709
22 O 0.855 0.296 0.057
23 O 0.145 0.704 0.943
24 O 0.688 0.661 0.149
25 Cu 0.516 0.928 0.084
26 Cu 0.016 0.072 0.416
27 Cu 0.676 0.015 0.255
28 Cu 0.484 0.072 0.916
29 Cu 0.000 0.000 0.000
30 Cu 0.500 0.000 0.500
31 Cu 0.324 0.985 0.745
32 Cu 0.176 0.985 0.245
33 Cu 0.984 0.928 0.584
34 Cu 0.824 0.015 0.755
35 P 0.086 0.523 0.868
36 P 0.914 0.477 0.132
37 P 0.414 0.523 0.368
38 P 0.586 0.477 0.632

Summary:
The calculation puts the MP2020-corrected energy at -6.25 eV/atom. The space group is P2_1/c, No. 14. The value obtained for the formation energy is -1.479 eV/atom.

***

# 4
Computed, not measured: a geometry-optimized CuP4O11 structure at the PBE level of DFT.

Unit cell a=9.391 b=9.450 c=10.738 alpha=110.64 beta=109.66 gamma=89.45
Fractional positions:
1 O 0.031 0.840 0.046
2 O 0.750 0.528 0.500
3 O 0.415 0.649 0.396
4 O 0.579 0.531 0.252
5 O 0.681 0.034 0.518
6 O 0.066 0.032 0.351
7 O 0.262 0.763 0.963
8 O 0.030 0.816 0.799
9 O 0.934 0.968 0.649
10 O 0.250 0.233 0.568
11 O 0.794 0.962 0.187
12 O 0.579 0.078 0.777
13 O 0.017 0.584 0.857
14 O 0.167 0.365 0.881
15 O 0.653 0.354 0.856
16 O 0.539 0.734 0.054
17 O 0.970 0.184 0.201
18 O 0.983 0.416 0.143
19 O 0.140 0.463 0.683
20 O 0.691 0.906 0.905
21 O 0.303 0.143 0.341
22 O 0.750 0.767 0.432
23 O 0.969 0.160 0.954
24 O 0.309 0.400 0.172
25 O 0.697 0.857 0.659
26 O 0.206 0.038 0.813
27 O 0.691 0.600 0.828
28 O 0.860 0.537 0.317
29 O 0.124 0.782 0.599
30 O 0.250 0.472 0.500
31 O 0.556 0.196 0.317
32 O 0.309 0.094 0.095
33 O 0.585 0.351 0.604
34 O 0.738 0.237 0.037
35 O 0.833 0.635 0.119
36 O 0.444 0.804 0.683
37 O 0.095 0.678 0.318
38 O 0.905 0.322 0.682
39 O 0.876 0.218 0.401
40 O 0.319 0.966 0.482
41 O 0.421 0.469 0.748
42 O 0.347 0.646 0.144
43 O 0.461 0.266 0.946
44 O 0.421 0.922 0.223
45 Cu 0.729 0.272 0.502
46 Cu 0.245 0.227 0.985
47 Cu 0.271 0.728 0.498
48 Cu 0.755 0.773 0.015
49 P 0.081 0.759 0.927
50 P 0.265 0.415 0.614
51 P 0.594 0.234 0.904
52 P 0.595 0.900 0.760
53 P 0.406 0.766 0.096
54 P 0.242 0.083 0.435
55 P 0.404 0.551 0.248
56 P 0.735 0.585 0.386
57 P 0.405 0.100 0.240
58 P 0.919 0.241 0.073
59 P 0.758 0.917 0.565
60 P 0.596 0.449 0.752
61 P 0.945 0.584 0.224
62 P 0.055 0.416 0.776
63 P 0.090 0.903 0.716
64 P 0.910 0.097 0.284

Summary:
The calculation puts the MP2020-corrected energy at -7.34 eV/atom. The space group is P-1, No. 2. The value obtained for the formation energy is -2.330 eV/atom.

***

# 5
Computed, not measured: a geometry-optimized Cu3P4O14 structure at the PBE level of DFT.

Unit cell a=6.173 b=8.458 c=9.982 alpha=104.61 beta=92.31 gamma=92.33
Fractional positions:
1 O 0.006 0.079 0.355
2 O 0.293 0.809 0.418
3 O 0.762 0.627 0.995
4 O 0.949 0.562 0.309
5 O 0.745 0.346 0.370
6 O 0.339 0.075 0.975
7 O 0.782 0.643 0.585
8 O 0.905 0.787 0.832
9 O 0.460 0.416 0.669
10 O 0.605 0.277 0.837
11 O 0.954 0.139 0.923
12 O 0.540 0.584 0.331
13 O 0.218 0.357 0.415
14 O 0.051 0.438 0.691
15 O 0.339 0.619 0.877
16 O 0.661 0.381 0.123
17 O 0.602 0.896 0.714
18 O 0.095 0.213 0.168
19 O 0.994 0.921 0.645
20 O 0.238 0.373 0.005
21 O 0.398 0.104 0.286
22 O 0.661 0.925 0.025
23 O 0.324 0.122 0.645
24 O 0.676 0.878 0.355
25 O 0.395 0.723 0.163
26 O 0.255 0.654 0.630
27 O 0.707 0.191 0.582
28 O 0.046 0.861 0.077
29 Cu 0.000 0.500 0.500
30 Cu 0.695 0.112 0.372
31 Cu 0.305 0.888 0.628
32 Cu 0.500 0.500 0.000
33 Cu 0.349 0.881 0.057
34 Cu 0.651 0.119 0.943
35 P 0.474 0.761 0.320
36 P 0.819 0.813 0.684
37 P 0.843 0.794 0.986
38 P 0.157 0.206 0.014
39 P 0.732 0.465 0.274
40 P 0.268 0.535 0.726
41 P 0.181 0.187 0.316
42 P 0.526 0.239 0.680

Summary:
The calculation puts the MP2020-corrected energy at -6.89 eV/atom. The space group is P-1, No. 2. The value obtained for the formation energy is -1.973 eV/atom.

***

# 6
Computed, not measured: a geometry-optimized Cu5P2O12 structure at the PBE level of DFT.

Unit cell a=4.572 b=5.744 c=8.427 alpha=76.07 beta=89.60 gamma=84.53
Fractional positions:
1 O 0.304 0.303 0.630
2 O 0.695 0.688 0.072
3 O 0.126 0.784 0.873
4 O 0.696 0.697 0.370
5 O 0.675 0.555 0.734
6 O 0.711 0.099 0.816
7 O 0.289 0.901 0.184
8 O 0.305 0.312 0.928
9 O 0.325 0.445 0.266
10 O 0.874 0.216 0.127
11 O 0.142 0.802 0.524
12 O 0.858 0.198 0.476
13 Cu 0.000 0.000 0.000
14 Cu 0.000 0.500 0.000
15 Cu 0.947 0.958 0.670
16 Cu 0.053 0.042 0.330
17 Cu 0.000 0.500 0.500
18 P 0.506 0.657 0.230
19 P 0.494 0.343 0.770

Summary:
The calculation puts the MP2020-corrected energy at -6.25 eV/atom. The space group is P-1, No. 2. The value obtained for the formation energy is -1.474 eV/atom.

***

# 7
Computed, not measured: a geometry-optimized Cu2P2PbO8 structure at the PBE level of DFT.

Unit cell a=8.149 b=10.512 c=15.681 alpha=90.00 beta=90.00 gamma=90.00
Fractional positions:
1 Cu 0.598 0.293 0.424
2 Cu 0.934 0.444 0.838
3 Cu 0.434 0.056 0.162
4 Cu 0.066 0.556 0.162
5 Cu 0.098 0.207 0.576
6 Cu 0.566 0.944 0.838
7 Cu 0.598 0.793 0.076
8 Cu 0.434 0.556 0.338
9 Cu 0.402 0.707 0.576
10 Cu 0.902 0.293 0.076
11 Cu 0.934 0.944 0.662
12 Cu 0.098 0.707 0.924
13 Cu 0.402 0.207 0.924
14 Cu 0.066 0.056 0.338
15 Cu 0.566 0.444 0.662
16 Cu 0.902 0.793 0.424
17 Pb 0.981 0.919 0.131
18 Pb 0.981 0.419 0.369
19 Pb 0.019 0.081 0.869
20 Pb 0.019 0.581 0.631
21 Pb 0.481 0.081 0.631
22 Pb 0.519 0.919 0.369
23 Pb 0.481 0.581 0.869
24 Pb 0.519 0.419 0.131
25 O 0.776 0.498 0.925
26 O 0.082 0.811 0.503
27 O 0.776 0.998 0.575
28 O 0.276 0.502 0.425
29 O 0.224 0.502 0.075
30 O 0.276 0.002 0.075
31 O 0.304 0.216 0.171
32 O 0.582 0.689 0.497
33 O 0.257 0.736 0.831
34 O 0.401 0.880 0.226
35 O 0.757 0.264 0.331
36 O 0.804 0.784 0.671
37 O 0.804 0.284 0.829
38 O 0.757 0.764 0.169
39 O 0.365 0.019 0.917
40 O 0.865 0.481 0.083
41 O 0.635 0.981 0.083
42 O 0.196 0.716 0.171
43 O 0.224 0.002 0.425
44 O 0.135 0.519 0.917
45 O 0.635 0.481 0.417
46 O 0.743 0.264 0.169
47 O 0.126 0.883 0.964
48 O 0.408 0.906 0.745
49 O 0.599 0.120 0.774
50 O 0.099 0.380 0.226
51 O 0.901 0.620 0.774
52 O 0.724 0.998 0.925
53 O 0.724 0.498 0.575
54 O 0.418 0.811 0.997
55 O 0.243 0.236 0.831
56 O 0.418 0.311 0.503
57 O 0.901 0.120 0.726
58 O 0.408 0.406 0.755
59 O 0.374 0.883 0.536
60 O 0.918 0.689 0.003
61 O 0.257 0.236 0.669
62 O 0.592 0.094 0.255
63 O 0.626 0.117 0.464
64 O 0.582 0.189 0.003
65 O 0.082 0.311 0.997
66 O 0.126 0.383 0.536
67 O 0.865 0.981 0.417
68 O 0.874 0.617 0.464
69 O 0.918 0.189 0.497
70 O 0.874 0.117 0.036
71 O 0.135 0.019 0.583
72 O 0.626 0.617 0.036
73 O 0.743 0.764 0.331
74 O 0.092 0.906 0.755
75 O 0.696 0.284 0.671
76 O 0.374 0.383 0.964
77 O 0.696 0.784 0.829
78 O 0.243 0.736 0.669
79 O 0.592 0.594 0.245
80 O 0.304 0.716 0.329
81 O 0.092 0.406 0.745
82 O 0.401 0.380 0.274
83 O 0.599 0.620 0.726
84 O 0.908 0.594 0.255
85 O 0.908 0.094 0.245
86 O 0.365 0.519 0.583
87 O 0.196 0.216 0.329
88 O 0.099 0.880 0.274
89 P 0.697 0.072 0.010
90 P 0.750 0.206 0.750
91 P 0.803 0.072 0.490
92 P 0.250 0.822 0.750
93 P 0.750 0.706 0.750
94 P 0.250 0.294 0.250
95 P 0.803 0.572 0.010
96 P 0.250 0.794 0.250
97 P 0.303 0.928 0.990
98 P 0.750 0.678 0.250
99 P 0.197 0.928 0.510
100 P 0.697 0.572 0.490
101 P 0.250 0.322 0.750
102 P 0.197 0.428 0.990
103 P 0.303 0.428 0.510
104 P 0.750 0.178 0.250

Summary:
The calculation puts the MP2020-corrected energy at -6.79 eV/atom. The space group is Pccn, No. 56. The value obtained for the formation energy is -1.998 eV/atom.

***

# 8
Computed, not measured: a geometry-optimized CuPPb2SO9 structure at the PBE level of DFT.

Unit cell a=5.777 b=8.345 c=8.543 alpha=68.46 beta=90.00 gamma=90.00
Fractional positions:
1 Cu 0.500 0.000 0.000
2 Cu 0.000 0.000 0.000
3 O 0.750 0.443 0.069
4 O 0.250 0.906 0.573
5 O 0.250 0.557 0.931
6 O 0.539 0.504 0.290
7 O 0.461 0.496 0.710
8 O 0.750 0.094 0.427
9 O 0.250 0.266 0.930
10 O 0.250 0.222 0.552
11 O 0.750 0.734 0.070
12 O 0.250 0.859 0.072
13 O 0.750 0.778 0.448
14 O 0.476 0.994 0.780
15 O 0.750 0.141 0.928
16 O 0.524 0.006 0.220
17 O 0.024 0.994 0.780
18 O 0.039 0.496 0.710
19 O 0.976 0.006 0.220
20 O 0.961 0.504 0.290
21 Pb 0.750 0.274 0.625
22 Pb 0.250 0.287 0.243
23 Pb 0.750 0.713 0.757
24 Pb 0.250 0.726 0.375
25 S 0.750 0.547 0.176
26 S 0.250 0.453 0.824
27 P 0.750 0.971 0.334
28 P 0.250 0.029 0.666

Summary:
The calculation puts the MP2020-corrected energy at -6.59 eV/atom. The space group is P2_1/m, No. 11. The value obtained for the formation energy is -1.900 eV/atom.